1.
The following is a PBE calculation of a geometry-optimized SiO2 structure, from the Materials Project.

Cell lengths 13.0127, 13.0127, 13.0127 Å; angles 109.47, 109.47, 109.47 degrees
Closest atoms and distances in Å follow each position.
Element x y z (fractional)
Si (0.6462, 0.5000, 0.3538)  4 O 1.62-1.63
Si (0.2925, 0.6462, 0.1462)  4 O 1.62-1.63
Si (0.3538, 0.6462, 0.5000)  4 O 1.62-1.63
Si (0.8538, 0.3538, 0.7075)  4 O 1.62-1.63
Si (0.3538, 0.8538, 0.7075)  4 O 1.62-1.63
Si (0.5000, 0.1462, 0.8538)  4 O 1.62-1.63
Si (0.1462, 0.8538, 0.5000)  4 O 1.62-1.63
Si (0.6462, 0.2925, 0.1462)  4 O 1.62-1.63
Si (0.6462, 0.1462, 0.2925)  4 O 1.62-1.63
Si (0.1462, 0.2925, 0.6462)  4 O 1.62-1.63
Si (0.5000, 0.3538, 0.6462)  4 O 1.62-1.63
Si (0.2925, 0.1462, 0.6462)  4 O 1.62-1.63
Si (0.7075, 0.3538, 0.8538)  4 O 1.62-1.63
Si (0.1462, 0.5000, 0.8538)  4 O 1.62-1.63
Si (0.1462, 0.6462, 0.2925)  4 O 1.62-1.63
Si (0.3538, 0.7075, 0.8538)  4 O 1.62-1.63
Si (0.5000, 0.6462, 0.3538)  4 O 1.62-1.63
Si (0.5000, 0.8538, 0.1462)  4 O 1.62-1.63
Si (0.8538, 0.7075, 0.3538)  4 O 1.62-1.63
Si (0.8538, 0.1462, 0.5000)  4 O 1.62-1.63
Si (0.7075, 0.8538, 0.3538)  4 O 1.62-1.63
Si (0.8538, 0.5000, 0.1462)  4 O 1.62-1.63
Si (0.3538, 0.5000, 0.6462)  4 O 1.62-1.63
Si (0.6462, 0.3538, 0.5000)  4 O 1.62-1.63
O (0.2228, 0.3800, 0.6028)  2 Si 1.63
O (0.2045, 0.6700, 0.2045)  2 Si 1.62
O (0.2045, 0.2045, 0.6700)  2 Si 1.62
O (0.6700, 0.4655, 0.4655)  2 Si 1.62
O (0.7772, 0.1572, 0.3800)  2 Si 1.63
O (0.8428, 0.2228, 0.6200)  2 Si 1.63
O (0.6028, 0.2228, 0.3800)  2 Si 1.63
O (0.7772, 0.3972, 0.6200)  2 Si 1.63
O (0.2228, 0.6028, 0.3800)  2 Si 1.63
O (0.5345, 0.5345, 0.3300)  2 Si 1.62
O (0.2228, 0.6200, 0.8428)  2 Si 1.63
O (0.7955, 0.0000, 0.4655)  2 Si 1.62
O (0.3972, 0.6200, 0.7772)  2 Si 1.63
O (0.3300, 0.5345, 0.5345)  2 Si 1.62
O (0.3972, 0.7772, 0.6200)  2 Si 1.63
O (0.1572, 0.7772, 0.3800)  2 Si 1.63
O (0.6200, 0.2228, 0.8428)  2 Si 1.63
O (0.5345, 0.3300, 0.5345)  2 Si 1.62
O (0.7955, 0.3300, 0.7955)  2 Si 1.62
O (0.4655, 0.4655, 0.6700)  2 Si 1.62
O (0.6200, 0.7772, 0.3972)  2 Si 1.63
O (0.3800, 0.7772, 0.1572)  2 Si 1.63
O (0.0000, 0.2045, 0.5345)  2 Si 1.62
O (0.6200, 0.8428, 0.2228)  2 Si 1.63
O (0.3800, 0.6028, 0.2228)  2 Si 1.63
O (0.2228, 0.8428, 0.6200)  2 Si 1.63
O (0.4655, 0.0000, 0.7955)  2 Si 1.62
O (0.5345, 0.0000, 0.2045)  2 Si 1.62
O (0.0000, 0.5345, 0.2045)  2 Si 1.62
O (0.8428, 0.6200, 0.2228)  2 Si 1.63
O (0.0000, 0.4655, 0.7955)  2 Si 1.62
O (0.1572, 0.3800, 0.7772)  2 Si 1.63
O (0.6700, 0.2045, 0.2045)  2 Si 1.62
O (0.0000, 0.7955, 0.4655)  2 Si 1.62
O (0.7955, 0.4655, 0.0000)  2 Si 1.62
O (0.7772, 0.6200, 0.3972)  2 Si 1.63
O (0.2045, 0.5345, 0.0000)  2 Si 1.62
O (0.3800, 0.2228, 0.6028)  2 Si 1.63
O (0.5345, 0.2045, 0.0000)  2 Si 1.62
O (0.7955, 0.7955, 0.3300)  2 Si 1.62
O (0.2045, 0.0000, 0.5345)  2 Si 1.62
O (0.3800, 0.1572, 0.7772)  2 Si 1.63
O (0.6028, 0.3800, 0.2228)  2 Si 1.63
O (0.6200, 0.3972, 0.7772)  2 Si 1.63
O (0.3300, 0.7955, 0.7955)  2 Si 1.62
O (0.7772, 0.3800, 0.1572)  2 Si 1.63
O (0.4655, 0.7955, 0.0000)  2 Si 1.62
O (0.4655, 0.6700, 0.4655)  2 Si 1.62

Results
- Calculated formation energy: -3.254 eV/atom
- Symmetry: No. 229

2.
The following is a PBE calculation of a geometry-optimized CaTm2S4 structure, from the Materials Project.

Cell lengths 3.8527, 12.8595, 13.0672 Å; angles 90.00, 90.00, 90.00 degrees
Closest atoms and distances in Å follow each position.
Element x y z (fractional)
Ca (0.2500, 0.3687, 0.5836)  7 S 2.87-3.00
Ca (0.2500, 0.8687, 0.9164)  7 S 2.87-3.00
Ca (0.7500, 0.6313, 0.4164)  7 S 2.87-3.00
Ca (0.7500, 0.1313, 0.0836)  7 S 2.87-3.00
S (0.2500, 0.7582, 0.5267)  3 Tm 2.69-2.71, 2 Ca 2.91
S (0.7500, 0.7418, 0.0267)  3 Tm 2.69-2.71, 2 Ca 2.91
S (0.2500, 0.5335, 0.8821)  4 Tm 2.68-2.79
S (0.2500, 0.2582, 0.9733)  3 Tm 2.69-2.71, 2 Ca 2.91
S (0.2500, 0.0335, 0.6179)  4 Tm 2.68-2.79
S (0.2500, 0.2171, 0.2381)  3 Tm 2.72-2.73, 2 Ca 3.00
S (0.7500, 0.5309, 0.6181)  2 Tm 2.67, 3 Ca 2.87-2.93
S (0.7500, 0.2418, 0.4733)  3 Tm 2.69-2.71, 2 Ca 2.91
S (0.7500, 0.4665, 0.1179)  4 Tm 2.68-2.79
S (0.7500, 0.0309, 0.8819)  2 Tm 2.67, 3 Ca 2.87-2.93
S (0.2500, 0.9691, 0.1181)  2 Tm 2.67, 3 Ca 2.87-2.93
S (0.7500, 0.2829, 0.7381)  3 Tm 2.72-2.73, 2 Ca 3.00
S (0.7500, 0.9665, 0.3821)  4 Tm 2.68-2.79
S (0.2500, 0.7171, 0.2619)  3 Tm 2.72-2.73, 2 Ca 3.00
S (0.2500, 0.4691, 0.3819)  2 Tm 2.67, 3 Ca 2.87-2.93
S (0.7500, 0.7829, 0.7619)  3 Tm 2.72-2.73, 2 Ca 3.00
Tm (0.7500, 0.8927, 0.5832)  6 S 2.68-2.79
Tm (0.2500, 0.6073, 0.0832)  6 S 2.68-2.79
Tm (0.7500, 0.3927, 0.9168)  6 S 2.68-2.79
Tm (0.7500, 0.8532, 0.2025)  6 S 2.67-2.76
Tm (0.2500, 0.1073, 0.4168)  6 S 2.68-2.79
Tm (0.2500, 0.6468, 0.7025)  6 S 2.67-2.76
Tm (0.7500, 0.3532, 0.2975)  6 S 2.67-2.76
Tm (0.2500, 0.1468, 0.7975)  6 S 2.67-2.76

Results
- Calculated formation energy: -2.388 eV/atom
- Symmetry: No. 62
- Excess energy over the best structure of this formula in the dataset: 0 kJ/mol of formula units